DFT (PBE) results for Zr24P8H after structural relaxation.

## Properties
The formation energy is -0.860 eV/atom. The calculation puts the MP2020-corrected energy at -8.49 eV/atom. For the volume, the calculation gives 638 Å³/cell. The total magnetization comes out at 0.0 μB/f.u.

Structure (CIF):
```
data_Zr24P8H
_space_group_name_H-M_alt 'P 1 2 1'
_space_group_IT_number 3
_space_group_name_Hall 'P 2y'
_cell_length_a 10.867
_cell_length_b 5.399
_cell_length_c 10.868
_cell_angle_alpha 90.00
_cell_angle_beta 90.07
_cell_angle_gamma 90.00
loop_
_atom_site_label
_atom_site_fract_x
_atom_site_fract_y
_atom_site_fract_z
Zr1 0.026 0.056 0.137
Zr2 0.085 0.314 0.607
Zr3 0.107 0.813 0.415
Zr4 0.138 0.500 0.973
Zr5 0.180 0.791 0.715
Zr6 0.215 0.292 0.321
Zr7 0.283 0.764 0.181
Zr8 0.319 0.259 0.783
Zr9 0.363 0.554 0.527
Zr10 0.390 0.245 0.087
Zr11 0.413 0.738 0.889
Zr12 0.473 0.000 0.363
P1 0.041 0.563 0.207
P2 0.206 0.991 0.959
P3 0.293 0.062 0.541
P4 0.459 0.492 0.294
H1 0.500 0.991 0.000
```



DFT (PBE) results for PaH3 after structural relaxation.

## Properties
The formation energy is -0.485 eV/atom. The calculation puts the MP2020-corrected energy at -5.41 eV/atom. For the volume, the calculation gives 293 Å³/cell.

Structure (CIF):
```
data_PaH3
_space_group_name_H-M_alt 'P m -3 n'
_space_group_IT_number 223
_space_group_name_Hall '-P 4n 2 3'
_cell_length_a 6.642
_cell_length_b 6.642
_cell_length_c 6.642
_cell_angle_alpha 90.00
_cell_angle_beta 90.00
_cell_angle_gamma 90.00
loop_
_atom_site_label
_atom_site_fract_x
_atom_site_fract_y
_atom_site_fract_z
Pa1 0.000 0.000 0.000
Pa2 0.000 0.250 0.500
H1 0.000 0.305 0.155
```



DFT (PBE) results for HPd3 after structural relaxation.

## Properties
The formation energy is 0.481 eV/atom. For the volume, the calculation gives 109 Å³/cell. The total magnetization comes out at 1.0 μB/f.u. For the offset from the most stable computed form, the calculation gives 0.000 eV/atom.

Structure (CIF):
```
data_HPd3
_space_group_name_H-M_alt 'I 4/m m m'
_space_group_IT_number 139
_space_group_name_Hall '-I 4 2'
_cell_length_a 3.933
_cell_length_b 3.933
_cell_length_c 7.041
_cell_angle_alpha 90.00
_cell_angle_beta 90.00
_cell_angle_gamma 90.00
loop_
_atom_site_label
_atom_site_fract_x
_atom_site_fract_y
_atom_site_fract_z
H1 0.000 0.000 0.000
Pd1 0.000 0.000 0.500
Pd2 0.000 0.500 0.250
```



DFT (PBE) results for HPd after structural relaxation.

## Properties
The formation energy is -0.083 eV/atom. For the volume, the calculation gives 38 Å³/cell. For the offset from the most stable computed form, the calculation gives 0.000 eV/atom.

Structure (CIF):
```
data_HPd
_space_group_name_H-M_alt 'P 63 m c'
_space_group_IT_number 186
_space_group_name_Hall 'P 6c -2c'
_cell_length_a 2.9681
_cell_length_b 2.9681
_cell_length_c 5.0408
_cell_angle_alpha 90.00
_cell_angle_beta 90.00
_cell_angle_gamma 120.00
loop_
_atom_site_label
_atom_site_fract_x
_atom_site_fract_y
_atom_site_fract_z
H1 0.3333 0.6667 0.0000
Pd1 0.3333 0.6667 0.3613
```